Entry 1:
DFT (PBE+U) results for crystalline NiP4O11 at its relaxed geometry.

```
NiP4O11
1.0
8.213 0.000 0.000
0.000 12.430 0.000
-7.244 0.000 8.427
Ni P O
4 16 44
direct
0.008 0.034 0.236
0.008 0.466 0.736
0.992 0.534 0.264
0.992 0.966 0.764
0.002 0.712 0.896
0.002 0.788 0.396
0.335 0.504 0.658
0.335 0.996 0.158
0.349 0.152 0.597
0.349 0.348 0.097
0.350 0.665 0.236
0.350 0.835 0.736
0.650 0.165 0.264
0.650 0.335 0.764
0.651 0.652 0.903
0.651 0.848 0.403
0.665 0.004 0.842
0.665 0.496 0.342
0.998 0.212 0.604
0.998 0.288 0.104
0.000 0.103 0.658
0.000 0.397 0.158
0.000 0.603 0.842
0.000 0.897 0.342
0.031 0.189 0.190
0.031 0.311 0.690
0.169 0.219 0.574
0.169 0.281 0.074
0.207 0.531 0.704
0.207 0.969 0.204
0.220 0.600 0.255
0.220 0.900 0.755
0.225 0.733 0.079
0.225 0.767 0.579
0.246 0.012 0.992
0.246 0.488 0.492
0.280 0.081 0.467
0.280 0.419 0.967
0.473 0.095 0.764
0.473 0.405 0.264
0.483 0.101 0.264
0.483 0.399 0.764
0.489 0.745 0.872
0.489 0.755 0.372
0.511 0.245 0.628
0.511 0.255 0.128
0.517 0.601 0.236
0.517 0.899 0.736
0.527 0.595 0.736
0.527 0.905 0.236
0.720 0.581 0.033
0.720 0.919 0.533
0.754 0.512 0.508
0.754 0.988 0.008
0.775 0.233 0.421
0.775 0.267 0.921
0.780 0.100 0.245
0.780 0.400 0.745
0.793 0.031 0.796
0.793 0.469 0.296
0.831 0.719 0.926
0.831 0.781 0.426
0.969 0.689 0.310
0.969 0.811 0.810
```

Results
Final energy ... -6.9060 eV/atom
M_tot ... 2.0 μB per formula unit
Energy relative to the elements ... -2421 meV per atom

---

Entry 2:
DFT (PBE+U) results for crystalline VZnPbO5 at its relaxed geometry.

```
VZnPbO5
1.0
6.062 0.000 0.000
0.000 7.860 0.000
0.000 0.000 9.418
V Zn Pb O
4 4 4 20
direct
0.005 0.112 0.187
0.495 0.888 0.687
0.505 0.388 0.813
0.995 0.612 0.313
0.250 0.249 0.502
0.250 0.751 0.002
0.750 0.251 0.498
0.750 0.749 0.998
0.009 0.622 0.680
0.491 0.378 0.180
0.509 0.878 0.320
0.991 0.122 0.820
0.001 0.434 0.425
0.002 0.621 0.925
0.023 0.286 0.082
0.246 0.629 0.213
0.248 0.112 0.295
0.252 0.888 0.795
0.254 0.371 0.713
0.477 0.714 0.582
0.498 0.379 0.425
0.499 0.566 0.925
0.501 0.066 0.575
0.502 0.879 0.075
0.523 0.214 0.918
0.746 0.871 0.787
0.748 0.388 0.705
0.752 0.612 0.205
0.754 0.129 0.287
0.977 0.786 0.418
0.998 0.121 0.575
0.999 0.934 0.075
```

Results
Final energy ... -6.0321 eV/atom
M_tot ... 1.0 μB per formula unit
Energy relative to the elements ... -1824 meV per atom